Version w
Entry from the Materials Project: a geometry-optimized O structure (GGA-PBE).

density = 1.60 g/cm³

a = 4.9306 Å, b = 5.1222 Å, c = 7.8992 Å
α = 90.63°, β = 91.07°, γ = 90.12°
Atoms (fractional coordinates):
O1 0.0000 0.0000 0.0000
O2 0.0464 0.7535 0.9996
O3 0.1060 0.7949 0.5010
O4 0.1679 0.5516 0.4968
O5 0.2951 0.6786 0.0016
O6 0.3493 0.1823 0.2526
O7 0.4961 0.0468 0.7595
O8 0.5535 0.2912 0.7525
O9 0.6016 0.2458 0.2518
O10 0.6614 0.4897 0.2483
O11 0.8046 0.3563 0.7451
O12 0.8533 0.8549 0.5049


Version x
Entry from the Materials Project: a geometry-optimized O structure (GGA-PBE).

density = 1.30 g/cm³

a = 4.2625 Å, b = 4.2625 Å, c = 8.9803 Å
α = 90.00°, β = 90.00°, γ = 90.00°
Atoms (fractional coordinates):
O1 0.0475 0.1365 0.2201
O2 0.1365 0.0475 0.7799
O3 0.3635 0.5475 0.4701
O4 0.4525 0.6365 0.0299
O5 0.5475 0.3635 0.5299
O6 0.6365 0.4525 0.9701
O7 0.8635 0.9525 0.2799
O8 0.9525 0.8635 0.7201


The computed energies, referenced to the most stable structure and given in meV/atom, are version w 419; version x 0.


Version w
Entry from the Materials Project: a geometry-optimized P2O5 structure (GGA-PBE).

density = 1.65 g/cm³

a = 8.1854 Å, b = 8.2212 Å, c = 8.4712 Å
α = 89.58°, β = 89.98°, γ = 88.06°
Atoms (fractional coordinates):
P1 0.0000 0.0000 0.0000
P2 0.0215 0.3027 0.8230
P3 0.2936 0.0431 0.8144
P4 0.4040 0.4253 0.1633
P5 0.4727 0.5203 0.4988
P6 0.5259 0.8081 0.3187
P7 0.7839 0.5357 0.3213
P8 0.8933 0.9378 0.6621
O1 0.0718 0.9516 0.5788
O2 0.1915 0.2147 0.7708
O3 0.1927 0.9842 0.9729
O4 0.2348 0.9286 0.6704
O5 0.2828 0.3097 0.1044
O6 0.3689 0.4622 0.3507
O7 0.4097 0.7904 0.1804
O8 0.4138 0.4651 0.6518
O9 0.4141 0.5883 0.0726
O10 0.4655 0.7167 0.4783
O11 0.5759 0.3219 0.1596
O12 0.6589 0.4711 0.4596
O13 0.6954 0.7174 0.2765
O14 0.7437 0.4163 0.1785
O15 0.7962 0.1005 0.6328
O16 0.7978 0.8028 0.5982
O17 0.8936 0.2992 0.6924
O18 0.9304 0.9090 0.8482
O19 0.9408 0.9390 0.1497
O20 0.9574 0.1911 0.9694


Version x
Entry from the Materials Project: a geometry-optimized P2O5 structure (GGA-PBE).

density = 1.89 g/cm³

a = 11.8017 Å, b = 12.4867 Å, c = 12.6732 Å
α = 91.25°, β = 90.27°, γ = 90.61°
Atoms (fractional coordinates):
P1 0.0000 0.0000 0.0000
P2 0.9996 0.1049 0.2088
P3 0.0974 0.8089 0.5808
P4 0.0977 0.0481 0.5747
P5 0.1496 0.4527 0.9812
P6 0.1564 0.4395 0.2166
P7 0.1966 0.6014 0.6574
P8 0.2435 0.8208 0.3746
P9 0.2948 0.6327 0.2342
P10 0.3547 0.7559 0.0466
P11 0.3854 0.0169 0.8422
P12 0.3868 0.5257 0.9226
P13 0.4282 0.1561 0.1517
P14 0.4491 0.8894 0.5012
P15 0.4560 0.3317 0.6981
P16 0.4942 0.2007 0.9802
P17 0.5972 0.0825 0.4819
P18 0.6033 0.5525 0.4113
P19 0.6417 0.2196 0.6081
P20 0.6772 0.7922 0.4100
P21 0.7069 0.8284 0.8458
P22 0.7208 0.5531 0.2020
P23 0.7838 0.5006 0.9920
P24 0.7885 0.0758 0.8907
P25 0.8472 0.7678 0.5898
P26 0.8486 0.6591 0.9107
P27 0.8659 0.5053 0.5943
P28 0.9024 0.0976 0.4163
P29 0.9279 0.4523 0.2987
P30 0.9806 0.6919 0.3005
O1 0.0188 0.4426 0.2059
O2 0.0806 0.1249 0.6634
O3 0.0879 0.3627 0.9302
O4 0.0914 0.9242 0.6255
O5 0.1125 0.5651 0.9858
O6 0.1158 0.9678 0.9800
O7 0.1226 0.0920 0.2033
O8 0.1306 0.7330 0.6666
O9 0.1351 0.5415 0.7444
O10 0.1675 0.5667 0.5464
O11 0.1718 0.8723 0.2977
O12 0.1745 0.5692 0.2367
O13 0.1820 0.0453 0.4886
O14 0.1822 0.7969 0.4861
O15 0.1942 0.4164 0.0998
O16 0.2026 0.3703 0.2964
O17 0.2723 0.0343 0.7993
O18 0.2728 0.7160 0.1439
O19 0.2821 0.8012 0.9649
O20 0.2845 0.4499 0.9277
O21 0.2870 0.7030 0.3427
O22 0.3179 0.6253 0.6915
O23 0.3469 0.0678 0.1697
O24 0.3549 0.3021 0.7569
O25 0.3609 0.8799 0.4041
O26 0.3856 0.6214 0.9958
O27 0.3906 0.2396 0.0552
O28 0.3921 0.5630 0.2219
O29 0.4051 0.8573 0.6028
O30 0.4399 0.1249 0.8905
O31 0.4662 0.7932 0.0862
O32 0.4656 0.9284 0.8422
O33 0.4731 0.2159 0.2492
O34 0.4826 0.0157 0.4963
O35 0.4837 0.5717 0.4326
O36 0.4845 0.4935 0.8600
O37 0.4953 0.4194 0.6328
O38 0.5353 0.1212 0.0727
O39 0.5448 0.2316 0.6960
O40 0.5588 0.8287 0.4614
O41 0.5661 0.2077 0.4956
O42 0.5690 0.2821 0.9364
O43 0.6144 0.5359 0.2687
O44 0.6239 0.7662 0.7849
O45 0.6482 0.2659 0.2396
O46 0.6593 0.0889 0.5982
O47 0.6678 0.0473 0.3932
O48 0.6765 0.6678 0.4140
O49 0.6845 0.4729 0.4501
O50 0.6853 0.5235 0.0809
O51 0.7052 0.8384 0.3086
O52 0.7095 0.1963 0.2065
O53 0.7172 0.9459 0.8689
O54 0.7400 0.2903 0.6120
O55 0.7494 0.5665 0.8871
O56 0.7496 0.1115 0.9947
O57 0.7680 0.8240 0.5034
O58 0.7735 0.7677 0.9369
O59 0.7872 0.1215 0.7856
O60 0.8153 0.4647 0.2251
O61 0.8214 0.3906 0.9861
O62 0.8271 0.6471 0.5793
O63 0.8395 0.8257 0.6933
O64 0.8731 0.6015 0.0216
O65 0.8791 0.4922 0.7079
O66 0.9037 0.7113 0.2105
O67 0.9199 0.0166 0.9056
O68 0.9195 0.3676 0.3752
O69 0.9318 0.2031 0.1977
O70 0.9411 0.6856 0.8411
O71 0.9417 0.0156 0.1068
O72 0.9513 0.5698 0.3479
O73 0.9516 0.0371 0.3135
O74 0.9617 0.0437 0.5098
O75 0.9736 0.7835 0.5335


The computed energies, referenced to the most stable structure and given in meV/atom, are version w 18; version x 0.


Version w
Entry from the Materials Project: a geometry-optimized P2O5 structure (GGA-PBE).

density = 3.94 g/cm³

a = 3.0927 Å, b = 3.2690 Å, c = 5.9204 Å
α = 90.00°, β = 90.00°, γ = 90.00°
Atoms (fractional coordinates):
P1 0.0000 0.0000 0.0000
P2 0.5000 0.0000 0.5000
O1 0.0000 0.0000 0.3106
O2 0.0000 0.0000 0.6894
O3 0.0000 0.5000 0.0000
O4 0.5000 0.0000 0.0000
O5 0.5000 0.5000 0.5000


Version x
Entry from the Materials Project: a geometry-optimized P2O5 structure (GGA-PBE).

density = 2.03 g/cm³
largest piezoelectric modulus = 0.056 C/m2

a = 7.7547 Å, b = 7.7547 Å, c = 7.7547 Å
α = 87.78°, β = 87.78°, γ = 87.78°
Atoms (fractional coordinates):
P1 0.0000 0.0000 0.0000
P2 0.0063 0.1819 0.3099
P3 0.1819 0.3099 0.0063
P4 0.3099 0.0063 0.1819
P5 0.5000 0.5000 0.5000
P6 0.5063 0.8099 0.6819
P7 0.6819 0.5063 0.8099
P8 0.8099 0.6819 0.5063
O1 0.0666 0.1774 0.9072
O2 0.0699 0.3396 0.1837
O3 0.1774 0.9072 0.0666
O4 0.1837 0.0699 0.3396
O5 0.2304 0.4659 0.9109
O6 0.3396 0.1837 0.0699
O7 0.3960 0.3960 0.3960
O8 0.4072 0.6774 0.5666
O9 0.4109 0.9659 0.7304
O10 0.4659 0.9109 0.2304
O11 0.5666 0.4072 0.6774
O12 0.5699 0.6837 0.8396
O13 0.6774 0.5666 0.4072
O14 0.6837 0.8396 0.5699
O15 0.7304 0.4109 0.9659
O16 0.8396 0.5699 0.6837
O17 0.8960 0.8960 0.8960
O18 0.9072 0.0666 0.1774
O19 0.9109 0.2304 0.4659
O20 0.9659 0.7304 0.4109


Version y
Entry from the Materials Project: a geometry-optimized P2O5 structure (GGA-PBE).

density = 1.89 g/cm³

a = 11.2376 Å, b = 12.9223 Å, c = 13.2593 Å
α = 94.90°, β = 102.38°, γ = 90.25°
Atoms (fractional coordinates):
P1 0.0000 0.0000 0.0000
P2 0.9999 0.3862 0.1915
P3 0.0314 0.7562 0.2089
P4 0.0577 0.5660 0.0878
P5 0.1626 0.6470 0.7443
P6 0.2112 0.2373 0.1625
P7 0.2387 0.2968 0.7048
P8 0.2703 0.4704 0.8730
P9 0.3048 0.7797 0.2012
P10 0.3124 0.5664 0.5896
P11 0.3435 0.9610 0.3632
P12 0.3889 0.1670 0.7140
P13 0.4130 0.8748 0.5886
P14 0.4240 0.8248 0.0210
P15 0.4315 0.5769 0.2118
P16 0.4712 0.6485 0.5239
P17 0.4913 0.5981 0.9950
P18 0.5834 0.0547 0.3540
P19 0.6211 0.9651 0.1436
P20 0.6796 0.3749 0.4480
P21 0.6933 0.6803 0.3029
P22 0.7269 0.9993 0.5624
P23 0.7288 0.2722 0.6350
P24 0.8188 0.8793 0.8371
P25 0.8318 0.3033 0.9827
P26 0.8398 0.8030 0.5004
P27 0.8918 0.9639 0.1854
P28 0.9034 0.3683 0.8439
P29 0.9780 0.0558 0.5612
P30 0.9893 0.6183 0.5482
O1 0.0243 0.5049 0.1846
O2 0.0372 0.7247 0.3120
O3 0.0408 0.5993 0.6714
O4 0.0525 0.0992 0.4973
O5 0.0786 0.9084 0.0118
O6 0.0885 0.6662 0.5109
O7 0.1104 0.3305 0.1527
O8 0.1107 0.3086 0.6567
O9 0.1525 0.1387 0.1088
O10 0.1633 0.7498 0.7984
O11 0.1710 0.7942 0.1973
O12 0.1852 0.5575 0.8260
O13 0.1900 0.5935 0.1140
O14 0.2175 0.9921 0.3331
O15 0.2363 0.4210 0.9578
O16 0.2582 0.4620 0.5661
O17 0.2733 0.1972 0.7718
O18 0.2732 0.6325 0.6853
O19 0.2899 0.8508 0.6013
O20 0.3008 0.3979 0.7807
O21 0.3180 0.6336 0.4926
O22 0.3316 0.7860 0.0924
O23 0.3471 0.2709 0.6454
O24 0.3555 0.0725 0.6359
O25 0.3665 0.6796 0.2493
O26 0.3740 0.9019 0.9521
O27 0.3782 0.8663 0.2769
O28 0.3963 0.2318 0.0245
O29 0.4018 0.9174 0.4647
O30 0.4046 0.4792 0.2487
O31 0.4047 0.5312 0.9055
O32 0.4329 0.5867 0.0962
O33 0.4382 0.0463 0.3392
O34 0.4547 0.7149 0.9698
O35 0.4614 0.5822 0.6270
O36 0.4907 0.7706 0.5646
O37 0.5000 0.2799 0.0530
O38 0.5083 0.1799 0.7870
O39 0.5136 0.9446 0.6548
O40 0.5454 0.8541 0.1083
O41 0.5473 0.2940 0.1503
O42 0.5645 0.4015 0.4772
O43 0.5743 0.6156 0.2738
O44 0.5792 0.0539 0.0867
O45 0.6156 0.9725 0.2646
O46 0.6184 0.2081 0.6057
O47 0.6204 0.5760 0.0118
O48 0.6274 0.9889 0.4495
O49 0.6283 0.1616 0.3581
O50 0.6976 0.8602 0.8561
O51 0.7129 0.7234 0.4152
O52 0.7389 0.3816 0.3616
O53 0.7440 0.2186 0.9747
O54 0.7517 0.9197 0.1402
O55 0.7574 0.8727 0.5606
O56 0.7654 0.6986 0.2274
O57 0.7756 0.3339 0.5543
O58 0.7919 0.3950 0.8997
O59 0.8153 0.2788 0.7392
O60 0.8336 0.0551 0.5106
O61 0.8810 0.9846 0.9009
O62 0.8842 0.3567 0.0926
O63 0.8912 0.7218 0.5729
O64 0.8936 0.8240 0.7724
O65 0.8998 0.5354 0.4980
O66 0.9014 0.8565 0.4329
O67 0.9087 0.0258 0.2843
O68 0.9222 0.0216 0.0930
O69 0.9512 0.2833 0.9236
O70 0.9599 0.8566 0.1735
O71 0.9713 0.4304 0.7892
O72 0.9738 0.3562 0.2877
O73 0.9878 0.6780 0.1103
O74 0.9888 0.5141 0.9893
O75 0.9963 0.0198 0.6657


Version z
Entry from the Materials Project: a geometry-optimized P2O5 structure (GGA-PBE).

density = 1.99 g/cm³

a = 11.8684 Å, b = 11.9171 Å, c = 12.6513 Å
α = 96.01°, β = 93.30°, γ = 91.44°
Atoms (fractional coordinates):
P1 0.0000 0.0000 0.0000
P2 0.0006 0.5771 0.5671
P3 0.0147 0.8459 0.8116
P4 0.0354 0.0493 0.4881
P5 0.0667 0.0611 0.7299
P6 0.1033 0.4256 0.7313
P7 0.1174 0.8598 0.3467
P8 0.1899 0.6977 0.4920
P9 0.2286 0.0564 0.1332
P10 0.2540 0.3241 0.0127
P11 0.2866 0.5278 0.8889
P12 0.3040 0.8462 0.2132
P13 0.3522 0.7490 0.8496
P14 0.3615 0.5289 0.4652
P15 0.4196 0.0333 0.9772
P16 0.4515 0.2112 0.9063
P17 0.4812 0.4658 0.3298
P18 0.5201 0.6011 0.9295
P19 0.5528 0.8840 0.2441
P20 0.5562 0.9345 0.4816
P21 0.5628 0.5042 0.1315
P22 0.7036 0.2558 0.4488
P23 0.7084 0.0867 0.2588
P24 0.7898 0.0301 0.4663
P25 0.7977 0.4781 0.1789
P26 0.8162 0.4737 0.4226
P27 0.8257 0.8215 0.9524
P28 0.8807 0.1602 0.8537
P29 0.9011 0.4092 0.8480
P30 0.9414 0.5995 0.0298
O1 0.0057 0.9353 0.7255
O2 0.0180 0.2601 0.2415
O3 0.0304 0.8682 0.2618
O4 0.0342 0.4378 0.8376
O5 0.0361 0.1423 0.4227
O6 0.0479 0.5222 0.6689
O7 0.0675 0.9253 0.9169
O8 0.0761 0.7436 0.7884
O9 0.0792 0.0437 0.0937
O10 0.0794 0.0746 0.6082
O11 0.1052 0.3149 0.6711
O12 0.1060 0.9418 0.4547
O13 0.1140 0.5878 0.5046
O14 0.1151 0.4958 0.2703
O15 0.1223 0.7386 0.3877
O16 0.1401 0.2760 0.9793
O17 0.1425 0.5341 0.1885
O18 0.1693 0.0807 0.7973
O19 0.2087 0.7854 0.5802
O20 0.2245 0.4770 0.7783
O21 0.2392 0.9128 0.1293
O22 0.2455 0.8894 0.3243
O23 0.2465 0.4659 0.9796
O24 0.2637 0.6544 0.9098
O25 0.2857 0.0707 0.0273
O26 0.2954 0.6403 0.4375
O27 0.3066 0.7241 0.1890
O28 0.3085 0.3345 0.1212
O29 0.3166 0.8620 0.8924
O30 0.3329 0.4852 0.5636
O31 0.3427 0.2863 0.9210
O32 0.3494 0.4426 0.3536
O33 0.3611 0.6994 0.7395
O34 0.4005 0.0833 0.8609
O35 0.4169 0.5126 0.8756
O36 0.4210 0.9162 0.2364
O37 0.4688 0.7203 0.9232
O38 0.4812 0.5361 0.2290
O39 0.4831 0.1619 0.0191
O40 0.4897 0.5592 0.4358
O41 0.5119 0.5914 0.0561
O42 0.5187 0.8528 0.5514
O43 0.5202 0.0482 0.4611
O44 0.5366 0.2609 0.8456
O45 0.5609 0.3746 0.3229
O46 0.5684 0.3875 0.0844
O47 0.5806 0.8624 0.3624
O48 0.5900 0.7973 0.1652
O49 0.5995 0.0103 0.2273
O50 0.6247 0.2998 0.5242
O51 0.6293 0.5742 0.8887
O52 0.6613 0.1840 0.3387
O53 0.6828 0.5572 0.1839
O54 0.7074 0.8486 0.9478
O55 0.7086 0.9559 0.5172
O56 0.7281 0.5406 0.4705
O57 0.7663 0.1155 0.8295
O58 0.7746 0.1193 0.1732
O59 0.7807 0.0123 0.3408
O60 0.7867 0.1602 0.4993
O61 0.7986 0.3368 0.4090
O62 0.8317 0.4107 0.7494
O63 0.8496 0.5004 0.3074
O64 0.8605 0.7073 0.9930
O65 0.8753 0.4917 0.9494
O66 0.8829 0.5778 0.1384
O67 0.8854 0.8305 0.8406
O68 0.9025 0.2888 0.8980
O69 0.9043 0.9193 0.0319
O70 0.9106 0.9917 0.5011
O71 0.9382 0.4765 0.4896
O72 0.9383 0.6800 0.5885
O73 0.9487 0.1020 0.9494
O74 0.9621 0.1407 0.7561
O75 0.9787 0.2961 0.1597


The computed energies, referenced to the most stable structure and given in meV/atom, are version w 666; version x 0; version y 793; version z 546.